# PBE-GGA K3InI6O18, relaxed
data_K3InI6O18
_cell_length_a 7.088
_cell_length_b 7.236
_cell_length_c 10.808
_cell_angle_alpha 97.93
_cell_angle_beta 108.80
_cell_angle_gamma 103.22
_symmetry_space_group_name_H-M 'P 1'
_symmetry_Int_Tables_number 1
_symmetry_space_group_name_Hall 'P 1'
loop_
_atom_site_label
_atom_site_fract_x
_atom_site_fract_y
_atom_site_fract_z
O1 0.390 0.699 0.765
O2 0.054 0.114 0.208
O3 0.887 0.683 0.995
I1 0.217 0.461 0.898
I2 0.555 0.036 0.194
O4 0.561 0.037 0.686
O5 0.309 0.965 0.039
O6 0.591 0.657 0.124
K1 0.623 0.462 0.707
O7 0.113 0.317 0.005
O8 0.691 0.035 0.961
K2 0.377 0.538 0.293
O9 0.888 0.079 0.399
O10 0.705 0.695 0.531
In1 0.000 0.000 0.000
I3 0.867 0.940 0.622
I4 0.133 0.060 0.378
O11 0.295 0.305 0.469
O12 0.439 0.963 0.314
O13 0.112 0.921 0.601
I5 0.783 0.539 0.102
K3 0.000 0.500 0.500
O14 0.409 0.343 0.876
O15 0.946 0.886 0.792
O16 0.003 0.357 0.736
I6 0.445 0.964 0.806
O17 0.997 0.643 0.264
O18 0.610 0.301 0.235
# - E_form: -1.25 eV per atom
# - SG: No. 2